Below is NaSmTl2 after structural relaxation, with properties calculated at the r2SCAN level.

abc: 7.567 7.567 7.567
angles: 90.00 90.00 90.00
Space group Fm-3m (No. 225)
One atom of each set of equivalent atoms:
Na1 0.000 0.000 0.000 x4
Sm1 0.000 0.000 0.500 x4
Tl1 0.250 0.250 0.250 x8

## Properties
The total energy comes out at -35.2644 eV/atom. The calculation puts the magnetic moment at 0.000 μB per cell. The value obtained for the energy relative to the elements is -33.82 kJ per mole of atoms.